Computed, not measured: InAg3 after structural relaxation at the PBE level of DFT.

The formation enthalpy at 0 K is 75 meV/atom. For the total magnetic moment, the calculation gives 0.0 μB/cell. Its space-group type is Cmmm.

Cell and atoms, written as CIF:
```
data_InAg3
_chemical_formula_sum 'In1 Ag3'
_cell_length_a 3.025
_cell_length_b 3.025
_cell_length_c 9.860
_cell_angle_alpha 90.00
_cell_angle_beta 90.00
_cell_angle_gamma 118.26
_symmetry_space_group_name_H-M 'P 1'
_symmetry_Int_Tables_number 1
loop_
_symmetry_equiv_pos_as_xyz
'x,y,z'
loop_
_atom_site_label
_atom_site_type_symbol
_atom_site_fract_x
_atom_site_fract_y
_atom_site_fract_z
In1 In 0.000 0.000 0.000
Ag1 Ag 0.000 0.000 0.500
Ag2 Ag 0.500 0.500 0.257
Ag3 Ag 0.500 0.500 0.743
```



Computed, not measured: Hg2CNCl5 after structural relaxation at the PBE level of DFT.

The formation enthalpy at 0 K is -113 meV/atom. For the total magnetic moment, the calculation gives 4.0 μB/cell. Its space-group type is C2/m.

Cell and atoms, written as CIF:
```
data_Hg2CNCl5
_chemical_formula_sum 'Hg4 C2 N2 Cl10'
_cell_length_a 9.799
_cell_length_b 9.799
_cell_length_c 11.034
_cell_angle_alpha 123.88
_cell_angle_beta 123.88
_cell_angle_gamma 42.79
_symmetry_space_group_name_H-M 'P 1'
_symmetry_Int_Tables_number 1
loop_
_symmetry_equiv_pos_as_xyz
'x,y,z'
loop_
_atom_site_label
_atom_site_type_symbol
_atom_site_fract_x
_atom_site_fract_y
_atom_site_fract_z
Hg1 Hg 0.090 0.090 0.245
Hg2 Hg 0.410 0.410 0.565
Hg3 Hg 0.590 0.590 0.435
Hg4 Hg 0.910 0.910 0.755
C1 C 0.252 0.252 0.875
C2 C 0.748 0.748 0.125
N1 N 0.274 0.274 0.794
N2 N 0.726 0.726 0.206
Cl1 Cl 0.000 0.500 0.500
Cl2 Cl 0.028 0.028 0.378
Cl3 Cl 0.126 0.126 0.074
Cl4 Cl 0.374 0.374 0.324
Cl5 Cl 0.472 0.472 0.821
Cl6 Cl 0.500 0.000 0.500
Cl7 Cl 0.528 0.528 0.179
Cl8 Cl 0.626 0.626 0.676
Cl9 Cl 0.874 0.874 0.926
Cl10 Cl 0.972 0.972 0.622
```



Computed, not measured: LaEuB12 after structural relaxation at the PBE level of DFT.

The formation enthalpy at 0 K is -525 meV/atom. Its space-group type is P4/mmm.

Cell and atoms, written as CIF:
```
data_LaEuB12
_chemical_formula_sum 'La1 Eu1 B12'
_cell_length_a 4.152
_cell_length_b 4.152
_cell_length_c 8.307
_cell_angle_alpha 90.00
_cell_angle_beta 90.00
_cell_angle_gamma 90.00
_symmetry_space_group_name_H-M 'P 1'
_symmetry_Int_Tables_number 1
loop_
_symmetry_equiv_pos_as_xyz
'x,y,z'
loop_
_atom_site_label
_atom_site_type_symbol
_atom_site_fract_x
_atom_site_fract_y
_atom_site_fract_z
La1 La 0.000 0.000 0.000
Eu1 Eu 0.000 0.000 0.500
B1 B 0.200 0.500 0.250
B2 B 0.200 0.500 0.750
B3 B 0.500 0.200 0.250
B4 B 0.500 0.200 0.750
B5 B 0.500 0.500 0.100
B6 B 0.500 0.500 0.400
B7 B 0.500 0.500 0.600
B8 B 0.500 0.500 0.900
B9 B 0.500 0.800 0.250
B10 B 0.500 0.800 0.750
B11 B 0.800 0.500 0.250
B12 B 0.800 0.500 0.750
```



Computed, not measured: Er2H8S3O16 after structural relaxation at the PBE level of DFT.

The formation enthalpy at 0 K is -2071 meV/atom. For the total magnetic moment, the calculation gives 0.0 μB/cell. Its space-group type is P-1.

Cell and atoms, written as CIF:
```
data_Er2H8S3O16
_chemical_formula_sum 'Er4 H16 S6 O32'
_cell_length_a 6.717
_cell_length_b 9.235
_cell_length_c 10.540
_cell_angle_alpha 93.21
_cell_angle_beta 107.20
_cell_angle_gamma 100.10
_symmetry_space_group_name_H-M 'P 1'
_symmetry_Int_Tables_number 1
loop_
_symmetry_equiv_pos_as_xyz
'x,y,z'
loop_
_atom_site_label
_atom_site_type_symbol
_atom_site_fract_x
_atom_site_fract_y
_atom_site_fract_z
Er1 Er 0.066 0.381 0.336
Er2 Er 0.265 0.170 0.867
Er3 Er 0.735 0.830 0.133
Er4 Er 0.934 0.619 0.664
H1 H 0.144 0.070 0.360
H2 H 0.197 0.404 0.035
H3 H 0.277 0.492 0.927
H4 H 0.284 0.096 0.150
H5 H 0.300 0.949 0.657
H6 H 0.355 0.183 0.443
H7 H 0.475 0.229 0.162
H8 H 0.481 0.090 0.666
H9 H 0.519 0.910 0.334
H10 H 0.525 0.771 0.838
H11 H 0.645 0.817 0.557
H12 H 0.700 0.051 0.343
H13 H 0.716 0.904 0.850
H14 H 0.723 0.508 0.073
H15 H 0.803 0.596 0.965
H16 H 0.856 0.930 0.640
S1 S 0.157 0.777 0.413
S2 S 0.159 0.808 0.976
S3 S 0.395 0.486 0.686
S4 S 0.605 0.514 0.314
S5 S 0.841 0.192 0.024
S6 S 0.843 0.223 0.587
O1 O 0.019 0.668 0.893
O2 O 0.029 0.879 0.335
O3 O 0.063 0.858 0.075
O4 O 0.083 0.628 0.335
O5 O 0.119 0.769 0.546
O6 O 0.173 0.919 0.879
O7 O 0.224 0.174 0.367
O8 O 0.277 0.401 0.970
O9 O 0.282 0.464 0.540
O10 O 0.297 0.593 0.750
O11 O 0.358 0.157 0.099
O12 O 0.370 0.777 0.043
O13 O 0.373 0.344 0.741
O14 O 0.378 0.448 0.288
O15 O 0.385 0.834 0.437
O16 O 0.386 0.040 0.714
O17 O 0.614 0.960 0.286
O18 O 0.615 0.166 0.563
O19 O 0.622 0.552 0.712
O20 O 0.627 0.656 0.259
O21 O 0.630 0.223 0.957
O22 O 0.642 0.843 0.901
O23 O 0.703 0.407 0.250
O24 O 0.718 0.536 0.460
O25 O 0.723 0.599 0.030
O26 O 0.776 0.826 0.633
O27 O 0.827 0.081 0.121
O28 O 0.881 0.231 0.454
O29 O 0.917 0.372 0.665
O30 O 0.937 0.142 0.925
O31 O 0.971 0.121 0.665
O32 O 0.981 0.332 0.107
```



Computed, not measured: Rb3Ga2Se4O14 after structural relaxation at the PBE level of DFT.

The formation enthalpy at 0 K is -1537 meV/atom. For the total magnetic moment, the calculation gives 6.0 μB/cell. Its space-group type is Cmce.

Cell and atoms, written as CIF:
```
data_Rb3Ga2Se4O14
_chemical_formula_sum 'Rb6 Ga4 Se8 O28'
_cell_length_a 9.777
_cell_length_b 9.777
_cell_length_c 13.589
_cell_angle_alpha 90.00
_cell_angle_beta 90.00
_cell_angle_gamma 136.36
_symmetry_space_group_name_H-M 'P 1'
_symmetry_Int_Tables_number 1
loop_
_symmetry_equiv_pos_as_xyz
'x,y,z'
loop_
_atom_site_label
_atom_site_type_symbol
_atom_site_fract_x
_atom_site_fract_y
_atom_site_fract_z
Rb1 Rb 0.000 0.000 0.000
Rb2 Rb 0.184 0.816 0.535
Rb3 Rb 0.316 0.684 0.035
Rb4 Rb 0.500 0.500 0.500
Rb5 Rb 0.684 0.316 0.965
Rb6 Rb 0.816 0.184 0.465
Ga1 Ga 0.079 0.421 0.750
Ga2 Ga 0.421 0.079 0.250
Ga3 Ga 0.579 0.921 0.750
Ga4 Ga 0.921 0.579 0.250
Se1 Se 0.038 0.962 0.322
Se2 Se 0.195 0.805 0.830
Se3 Se 0.305 0.695 0.330
Se4 Se 0.462 0.538 0.822
Se5 Se 0.538 0.462 0.178
Se6 Se 0.695 0.305 0.670
Se7 Se 0.805 0.195 0.170
Se8 Se 0.962 0.038 0.678
O1 O 0.032 0.968 0.597
O2 O 0.060 0.564 0.353
O3 O 0.064 0.560 0.853
O4 O 0.099 0.281 0.647
O5 O 0.141 0.859 0.930
O6 O 0.175 0.825 0.202
O7 O 0.219 0.401 0.853
O8 O 0.281 0.099 0.353
O9 O 0.325 0.675 0.702
O10 O 0.359 0.641 0.430
O11 O 0.401 0.219 0.147
O12 O 0.436 0.940 0.353
O13 O 0.440 0.936 0.853
O14 O 0.468 0.532 0.097
O15 O 0.532 0.468 0.903
O16 O 0.560 0.064 0.147
O17 O 0.564 0.060 0.647
O18 O 0.599 0.781 0.853
O19 O 0.641 0.359 0.570
O20 O 0.675 0.325 0.298
O21 O 0.719 0.901 0.647
O22 O 0.781 0.599 0.147
O23 O 0.825 0.175 0.798
O24 O 0.859 0.141 0.070
O25 O 0.901 0.719 0.353
O26 O 0.936 0.440 0.147
O27 O 0.940 0.436 0.647
O28 O 0.968 0.032 0.403
```



Computed, not measured: KMg14Zn after structural relaxation at the PBE level of DFT.

The formation enthalpy at 0 K is 101 meV/atom. Its space-group type is P-6m2.

Cell and atoms, written as CIF:
```
data_KMg14Zn
_chemical_formula_sum 'K1 Mg14 Zn1'
_cell_length_a 6.495
_cell_length_b 6.495
_cell_length_c 10.508
_cell_angle_alpha 90.00
_cell_angle_beta 90.00
_cell_angle_gamma 120.00
_symmetry_space_group_name_H-M 'P 1'
_symmetry_Int_Tables_number 1
loop_
_symmetry_equiv_pos_as_xyz
'x,y,z'
loop_
_atom_site_label
_atom_site_type_symbol
_atom_site_fract_x
_atom_site_fract_y
_atom_site_fract_z
K1 K 0.000 0.000 0.000
Mg1 Mg 0.007 0.504 0.000
Mg2 Mg 0.169 0.337 0.267
Mg3 Mg 0.169 0.337 0.733
Mg4 Mg 0.169 0.831 0.267
Mg5 Mg 0.169 0.831 0.733
Mg6 Mg 0.496 0.504 0.000
Mg7 Mg 0.496 0.993 0.000
Mg8 Mg 0.502 0.004 0.500
Mg9 Mg 0.502 0.498 0.500
Mg10 Mg 0.663 0.831 0.267
Mg11 Mg 0.663 0.831 0.733
Mg12 Mg 0.667 0.333 0.245
Mg13 Mg 0.667 0.333 0.755
Mg14 Mg 0.996 0.498 0.500
Zn1 Zn 0.000 0.000 0.500
```



Computed, not measured: Na3HfZrSi2PO12 after structural relaxation at the PBE level of DFT.

The formation enthalpy at 0 K is -3174 meV/atom. For the total magnetic moment, the calculation gives 0.0 μB/cell. Its space-group type is P1.

Cell and atoms, written as CIF:
```
data_Na3HfZrSi2PO12
_chemical_formula_sum 'Na12 Hf4 Zr4 Si8 P4 O48'
_cell_length_a 9.151
_cell_length_b 9.164
_cell_length_c 13.048
_cell_angle_alpha 90.00
_cell_angle_beta 89.75
_cell_angle_gamma 89.98
_symmetry_space_group_name_H-M 'P 1'
_symmetry_Int_Tables_number 1
loop_
_symmetry_equiv_pos_as_xyz
'x,y,z'
loop_
_atom_site_label
_atom_site_type_symbol
_atom_site_fract_x
_atom_site_fract_y
_atom_site_fract_z
Na1 Na 0.000 0.000 0.000
Na2 Na 0.000 0.055 0.499
Na3 Na 0.003 0.887 0.737
Na4 Na 0.005 0.166 0.238
Na5 Na 0.346 0.840 0.432
Na6 Na 0.348 0.215 0.934
Na7 Na 0.500 0.499 0.499
Na8 Na 0.500 0.554 0.000
Na9 Na 0.503 0.391 0.238
Na10 Na 0.505 0.666 0.738
Na11 Na 0.848 0.340 0.934
Na12 Na 0.849 0.714 0.434
Hf1 Hf 0.212 0.522 0.345
Hf2 Hf 0.298 0.027 0.135
Hf3 Hf 0.798 0.527 0.635
Hf4 Hf 0.798 0.528 0.136
Zr1 Zr 0.212 0.533 0.846
Zr2 Zr 0.299 0.028 0.635
Zr3 Zr 0.712 0.021 0.846
Zr4 Zr 0.712 0.034 0.346
Si1 Si 0.157 0.380 0.093
Si2 Si 0.158 0.673 0.592
Si3 Si 0.347 0.883 0.887
Si4 Si 0.348 0.174 0.385
Si5 Si 0.657 0.175 0.093
Si6 Si 0.659 0.879 0.592
Si7 Si 0.847 0.671 0.886
Si8 Si 0.850 0.384 0.386
P1 P 0.008 0.237 0.740
P2 P 0.010 0.816 0.239
P3 P 0.508 0.737 0.239
P4 P 0.510 0.319 0.740
O1 O 0.019 0.617 0.881
O2 O 0.021 0.438 0.380
O3 O 0.083 0.134 0.661
O4 O 0.089 0.919 0.162
O5 O 0.118 0.724 0.302
O6 O 0.120 0.326 0.801
O7 O 0.161 0.853 0.587
O8 O 0.162 0.199 0.089
O9 O 0.230 0.442 0.199
O10 O 0.233 0.613 0.697
O11 O 0.247 0.614 0.490
O12 O 0.248 0.438 0.993
O13 O 0.265 0.098 0.482
O14 O 0.265 0.958 0.984
O15 O 0.270 0.939 0.780
O16 O 0.274 0.114 0.279
O17 O 0.348 0.353 0.390
O18 O 0.351 0.704 0.891
O19 O 0.405 0.218 0.682
O20 O 0.405 0.840 0.181
O21 O 0.419 0.640 0.315
O22 O 0.425 0.415 0.818
O23 O 0.482 0.132 0.092
O24 O 0.484 0.922 0.590
O25 O 0.518 0.939 0.881
O26 O 0.520 0.122 0.381
O27 O 0.587 0.421 0.662
O28 O 0.588 0.636 0.163
O29 O 0.615 0.827 0.305
O30 O 0.620 0.228 0.802
O31 O 0.662 0.355 0.089
O32 O 0.663 0.699 0.588
O33 O 0.731 0.940 0.698
O34 O 0.732 0.113 0.198
O35 O 0.748 0.116 0.993
O36 O 0.750 0.939 0.492
O37 O 0.766 0.596 0.984
O38 O 0.768 0.457 0.485
O39 O 0.773 0.614 0.779
O40 O 0.774 0.442 0.280
O41 O 0.850 0.850 0.891
O42 O 0.852 0.204 0.390
O43 O 0.903 0.340 0.684
O44 O 0.905 0.715 0.180
O45 O 0.923 0.141 0.818
O46 O 0.923 0.913 0.316
O47 O 0.981 0.422 0.092
O48 O 0.983 0.630 0.593
```



Computed, not measured: BiPtO3 after structural relaxation at the PBE level of DFT.

The formation enthalpy at 0 K is -755 meV/atom. For the total magnetic moment, the calculation gives 0.0 μB/cell. Its space-group type is Pm-3m.

Cell and atoms, written as CIF:
```
data_BiPtO3
_chemical_formula_sum 'Bi1 Pt1 O3'
_cell_length_a 4.071
_cell_length_b 4.071
_cell_length_c 4.071
_cell_angle_alpha 90.00
_cell_angle_beta 90.00
_cell_angle_gamma 90.00
_symmetry_space_group_name_H-M 'P 1'
_symmetry_Int_Tables_number 1
loop_
_symmetry_equiv_pos_as_xyz
'x,y,z'
loop_
_atom_site_label
_atom_site_type_symbol
_atom_site_fract_x
_atom_site_fract_y
_atom_site_fract_z
Bi1 Bi 0.000 0.000 0.000
Pt1 Pt 0.500 0.500 0.500
O1 O 0.000 0.500 0.500
O2 O 0.500 0.000 0.500
O3 O 0.500 0.500 0.000
```